First-principles (PBE) data for an optimized crystal structure of NaGaSnP2SO12, as listed in Materials Project.

Cell and atoms, written as POSCAR:
```
NaGaSnP2SO12
1.0
8.622 0.000 0.000
-4.311 7.457 -0.006
0.000 -0.019 22.596
Na Ga Sn P S O
6 6 6 12 6 72
Direct
0.991 0.994 0.502
0.003 0.994 0.002
0.658 0.328 0.836
0.670 0.328 0.336
0.324 0.661 0.169
0.337 0.661 0.669
0.987 0.009 0.648
0.022 0.009 0.148
0.653 0.342 0.981
0.689 0.342 0.481
0.320 0.676 0.314
0.355 0.676 0.814
0.998 0.001 0.352
0.003 0.001 0.852
0.665 0.334 0.685
0.669 0.334 0.185
0.332 0.667 0.018
0.336 0.667 0.518
0.291 0.997 0.249
0.006 0.293 0.249
0.287 0.293 0.749
0.707 0.997 0.749
0.957 0.331 0.583
0.673 0.627 0.582
0.954 0.627 0.082
0.373 0.331 0.083
0.624 0.664 0.916
0.340 0.960 0.915
0.620 0.960 0.415
0.040 0.664 0.416
0.705 0.711 0.249
0.006 0.711 0.749
0.372 0.044 0.582
0.672 0.044 0.082
0.038 0.378 0.915
0.339 0.378 0.415
0.215 0.036 0.306
0.815 0.781 0.304
0.963 0.178 0.306
0.215 0.178 0.806
0.966 0.781 0.804
0.821 0.036 0.806
0.788 0.962 0.694
0.174 0.204 0.693
0.032 0.820 0.696
0.788 0.820 0.196
0.030 0.204 0.193
0.174 0.962 0.194
0.882 0.369 0.640
0.482 0.114 0.637
0.630 0.512 0.639
0.882 0.512 0.139
0.633 0.114 0.137
0.487 0.369 0.140
0.455 0.296 0.028
0.841 0.538 0.027
0.699 0.153 0.029
0.455 0.153 0.529
0.697 0.538 0.527
0.841 0.296 0.528
0.549 0.703 0.973
0.149 0.448 0.970
0.296 0.845 0.973
0.549 0.845 0.473
0.299 0.448 0.470
0.154 0.703 0.473
0.121 0.629 0.361
0.508 0.871 0.360
0.366 0.487 0.363
0.121 0.487 0.863
0.363 0.871 0.860
0.508 0.629 0.861
0.023 0.836 0.411
0.811 0.980 0.411
0.174 0.196 0.412
0.023 0.196 0.912
0.169 0.980 0.911
0.812 0.836 0.911
0.978 0.164 0.589
0.194 0.025 0.590
0.842 0.812 0.590
0.969 0.812 0.090
0.830 0.025 0.090
0.186 0.164 0.089
0.690 0.169 0.744
0.477 0.313 0.744
0.840 0.530 0.745
0.689 0.530 0.245
0.835 0.313 0.244
0.479 0.169 0.244
0.645 0.498 0.922
0.861 0.358 0.923
0.509 0.145 0.924
0.636 0.145 0.424
0.497 0.358 0.423
0.853 0.498 0.422
0.357 0.502 0.077
0.144 0.646 0.078
0.507 0.863 0.078
0.356 0.863 0.578
0.502 0.646 0.578
0.145 0.502 0.577
0.312 0.831 0.255
0.528 0.691 0.256
0.176 0.478 0.257
0.302 0.478 0.757
0.164 0.691 0.756
0.519 0.831 0.755
```

Results
Size of the total moment (μB per cell): 0.00
E (eV for the cell shown): -699.8